VASP calculation (GGA+U) on a relaxed structure of Fe5OF11.

Properties
space group	P1 (1)
excess energy over the best structure of this formula in the dataset	10	meV per atom
energy of formation	-2.433	eV/atom
size of the total moment	1.35	μB/atom
energy	-92.7	eV/cell

Cell lengths 5.3227, 5.7561, 9.3809 Å; angles 107.21, 91.05, 62.21 degrees
Element x y z (fractional)
1 Fe 0.0185 0.9412 0.3331
2 Fe 0.4914 0.0163 0.1655
3 Fe 0.9845 0.9935 0.6597
4 Fe 0.4934 0.0187 0.8419
5 Fe 0.7389 0.5590 0.4347
6 O 0.9656 0.7711 0.4657
7 F 0.0641 0.2217 0.2511
8 F 0.0075 0.2232 0.5364
9 F 0.0803 0.2068 0.8365
10 F 0.5681 0.2234 0.7258
11 F 0.5145 0.2396 0.0325
12 F 0.6046 0.2460 0.3605
13 F 0.4373 0.7772 0.6327
14 F 0.4758 0.7917 0.9489
15 F 0.4438 0.7714 0.2993
16 F 0.9303 0.7662 0.1497
17 F 0.9140 0.7832 0.7706

***

VASP calculation (GGA+U) on a relaxed structure of Na6Cr2PC4O16.

Properties
space group	Fd-3 (203)
energy of formation	-2.149	eV/atom
size of the total moment	0.24	μB/atom
energy	-392.1	eV/cell

Cell lengths 9.9053, 9.9053, 9.9053 Å; angles 60.00, 60.00, 60.00 degrees
Element x y z (fractional)
1 Na 0.2944 0.7056 0.2944
2 Na 0.7056 0.7056 0.2944
3 Na 0.7056 0.2944 0.2944
4 Na 0.5444 0.9556 0.5444
5 Na 0.2944 0.7056 0.7056
6 Na 0.2944 0.2944 0.7056
7 Na 0.9556 0.9556 0.5444
8 Na 0.9556 0.5444 0.5444
9 Na 0.7056 0.2944 0.7056
10 Na 0.5444 0.5444 0.9556
11 Na 0.5444 0.9556 0.9556
12 Na 0.9556 0.5444 0.9556
13 Cr 0.1250 0.1250 0.1250
14 Cr 0.1250 0.6250 0.1250
15 Cr 0.6250 0.1250 0.1250
16 Cr 0.1250 0.1250 0.6250
17 P 0.7500 0.7500 0.7500
18 P 0.5000 0.5000 0.5000
19 C 0.9093 0.9093 0.2722
20 C 0.3407 0.3407 0.3407
21 C 0.3407 0.9778 0.3407
22 C 0.9778 0.3407 0.3407
23 C 0.2722 0.9093 0.9093
24 C 0.9093 0.9093 0.9093
25 C 0.9093 0.2722 0.9093
26 C 0.3407 0.3407 0.9778
27 O 0.0252 0.9338 0.2745
28 O 0.9338 0.7665 0.2745
29 O 0.7665 0.0252 0.2745
30 O 0.4835 0.3162 0.2248
31 O 0.9431 0.6856 0.6856
32 O 0.4835 0.9755 0.3162
33 O 0.3162 0.9755 0.2248
34 O 0.6856 0.9431 0.6856
35 O 0.6856 0.6856 0.6856
36 O 0.2248 0.4835 0.3162
37 O 0.3162 0.2248 0.4835
38 O 0.6856 0.6856 0.9431
39 O 0.9755 0.4835 0.2248
40 O 0.2248 0.9755 0.4835
41 O 0.9755 0.2248 0.3162
42 O 0.2745 0.9338 0.7665
43 O 0.9755 0.3162 0.4835
44 O 0.2745 0.0252 0.9338
45 O 0.0252 0.2745 0.7665
46 O 0.2745 0.7665 0.0252
47 O 0.5644 0.5644 0.3069
48 O 0.9338 0.0252 0.7665
49 O 0.0252 0.7665 0.9338
50 O 0.5644 0.5644 0.5644
51 O 0.5644 0.3069 0.5644
52 O 0.9338 0.2745 0.0252
53 O 0.7665 0.2745 0.9338
54 O 0.3069 0.5644 0.5644
55 O 0.7665 0.9338 0.0252
56 O 0.4835 0.2248 0.9755
57 O 0.3162 0.4835 0.9755
58 O 0.2248 0.3162 0.9755

***

VASP calculation (GGA+U) on a relaxed structure of CoSbP2O8.

Properties
space group	P1 (1)
excess energy over the best structure of this formula in the dataset	2	meV per atom
energy of formation	-2.235	eV/atom
size of the total moment	0.25	μB/atom
energy	-325.3	eV/cell

Cell lengths 4.9363, 10.0523, 12.8801 Å; angles 90.82, 90.56, 84.31 degrees
Element x y z (fractional)
1 Co 0.4072 0.2161 0.8572
2 Co 0.5878 0.7775 0.6511
3 Co 0.4059 0.2197 0.4049
4 Co 0.6028 0.7852 0.1068
5 Sb 0.9633 0.2938 0.1233
6 Sb 0.9024 0.2981 0.6311
7 Sb 0.0377 0.7086 0.3749
8 Sb 0.0969 0.6992 0.8739
9 P 0.4170 0.1095 0.1243
10 P 0.3740 0.0946 0.6241
11 P 0.5824 0.8944 0.3701
12 P 0.6257 0.9018 0.8799
13 P 0.8663 0.4067 0.3583
14 P 0.8538 0.4093 0.8898
15 P 0.1411 0.5930 0.1409
16 P 0.1392 0.5912 0.6081
17 O 0.5889 0.0433 0.3673
18 O 0.6457 0.0511 0.8825
19 O 0.4059 0.9609 0.1262
20 O 0.3578 0.9451 0.6211
21 O 0.7180 0.1429 0.1265
22 O 0.6718 0.1269 0.6226
23 O 0.2821 0.8595 0.3701
24 O 0.3270 0.8713 0.8796
25 O 0.1720 0.3786 0.3658
26 O 0.1632 0.3842 0.8824
27 O 0.8357 0.6186 0.1317
28 O 0.8290 0.6168 0.6131
29 O 0.2185 0.4376 0.1261
30 O 0.2343 0.4417 0.6162
31 O 0.7894 0.5622 0.3730
32 O 0.7578 0.5585 0.8799
33 O 0.2452 0.1803 0.0307
34 O 0.2020 0.1686 0.5328
35 O 0.2398 0.1822 0.2152
36 O 0.2107 0.1695 0.7184
37 O 0.7561 0.8190 0.2784
38 O 0.7881 0.8273 0.7854
39 O 0.7588 0.8252 0.4628
40 O 0.7980 0.8273 0.9709
41 O 0.7120 0.3318 0.4383
42 O 0.7511 0.3593 0.0007
43 O 0.7543 0.3671 0.2466
44 O 0.7120 0.3225 0.8087
45 O 0.2995 0.6695 0.0635
46 O 0.2467 0.6439 0.4989
47 O 0.2494 0.6330 0.2535
48 O 0.2756 0.6757 0.6923

***

VASP calculation (GGA+U) on a relaxed structure of H12W3C4S2Cl9O2.

Properties
space group	P2_1/c (14)
energy of formation	-0.350	eV/atom
size of the total moment	0.12	μB/atom
energy	-591.3	eV/cell

Cell lengths 10.1155, 11.1811, 25.1895 Å; angles 64.26, 90.00, 90.00 degrees
Element x y z (fractional)
1 H 0.4708 0.4341 0.2281
2 H 0.9086 0.0510 0.3180
3 H 0.4625 0.7287 0.3499
4 H 0.9396 0.5945 0.8490
5 H 0.6232 0.5066 0.1902
6 H 0.9708 0.5659 0.2719
7 H 0.3768 0.4934 0.8098
8 H 0.0375 0.7287 0.8499
9 H 0.4474 0.0392 0.7796
10 H 0.8926 0.0639 0.2445
11 H 0.4396 0.4055 0.6510
12 H 0.8138 0.3900 0.5832
13 H 0.5526 0.9608 0.2204
14 H 0.3926 0.9361 0.2555
15 H 0.1232 0.4934 0.3098
16 H 0.4643 0.5639 0.1547
17 H 0.3701 0.2429 0.6776
18 H 0.0292 0.4341 0.7281
19 H 0.3649 0.4525 0.9199
20 H 0.1351 0.4525 0.4199
21 H 0.0526 0.0392 0.2796
22 H 0.1074 0.9361 0.7555
23 H 0.1299 0.2429 0.1776
24 H 0.9643 0.4361 0.3453
25 H 0.4693 0.5396 0.9490
26 H 0.5307 0.4604 0.0510
27 H 0.9474 0.9608 0.7204
28 H 0.6299 0.7571 0.3224
29 H 0.6351 0.5475 0.0801
30 H 0.0307 0.5396 0.4490
31 H 0.8701 0.7571 0.8224
32 H 0.0357 0.5639 0.6547
33 H 0.0604 0.4055 0.1510
34 H 0.8649 0.5475 0.5801
35 H 0.3138 0.6100 0.9168
36 H 0.5604 0.5945 0.3490
37 H 0.1862 0.6100 0.4168
38 H 0.5914 0.0510 0.8180
39 H 0.6074 0.0639 0.7445
40 H 0.9625 0.2713 0.1501
41 H 0.4086 0.9490 0.1820
42 H 0.9693 0.4604 0.5510
43 H 0.5357 0.4361 0.8453
44 H 0.5375 0.2713 0.6501
45 H 0.5292 0.5659 0.7719
46 H 0.0914 0.9490 0.6820
47 H 0.6862 0.3900 0.0832
48 H 0.8768 0.5066 0.6902
49 W 0.8698 0.2173 0.9724
50 W 0.0939 0.0934 0.8898
51 W 0.5939 0.9066 0.6102
52 W 0.4061 0.0934 0.3898
53 W 0.6302 0.2173 0.4724
54 W 0.7040 0.8996 0.4695
55 W 0.2040 0.1004 0.0305
56 W 0.7960 0.8996 0.9695
57 W 0.3698 0.7827 0.5276
58 W 0.2960 0.1004 0.5305
59 W 0.1302 0.7827 0.0276
60 W 0.9061 0.9066 0.1102
61 C 0.0389 0.2990 0.1736
62 C 0.9611 0.7010 0.8264
63 C 0.9554 0.0854 0.2747
64 C 0.8974 0.4501 0.5851
65 C 0.0446 0.9146 0.7253
66 C 0.6026 0.4501 0.0851
67 C 0.4554 0.9146 0.2253
68 C 0.5389 0.7010 0.3264
69 C 0.4785 0.5210 0.8145
70 C 0.3974 0.5499 0.9149
71 C 0.4611 0.2990 0.6736
72 C 0.5446 0.0854 0.7747
73 C 0.9785 0.4790 0.6855
74 C 0.5215 0.4790 0.1855
75 C 0.0215 0.5210 0.3145
76 C 0.1026 0.5499 0.4149
77 S 0.9811 0.2617 0.2466
78 S 0.0238 0.6415 0.3441
79 S 0.0189 0.7383 0.7534
80 S 0.4811 0.7383 0.2534
81 S 0.5189 0.2617 0.7466
82 S 0.9762 0.3585 0.6559
83 S 0.4762 0.6415 0.8441
84 S 0.5238 0.3585 0.1559
85 Cl 0.1788 0.8859 0.5554
86 Cl 0.0691 0.3066 0.0025
87 Cl 0.3194 0.1756 0.2914
88 Cl 0.2128 0.8767 0.9236
89 Cl 0.6806 0.8244 0.7086
90 Cl 0.7166 0.8168 0.0740
91 Cl 0.8918 0.9932 0.8675
92 Cl 0.6788 0.1141 0.9446
93 Cl 0.7502 0.4208 0.9461
94 Cl 0.4621 0.7020 0.6299
95 Cl 0.2498 0.5792 0.0539
96 Cl 0.6082 0.9932 0.3675
97 Cl 0.1806 0.1756 0.7914
98 Cl 0.3894 0.1927 0.0585
99 Cl 0.5691 0.6934 0.4975
100 Cl 0.1082 0.0068 0.1325
101 Cl 0.3212 0.8859 0.0554
102 Cl 0.7498 0.4208 0.4461
103 Cl 0.6106 0.8073 0.9415
104 Cl 0.2166 0.1832 0.4260
105 Cl 0.7128 0.1233 0.5764
106 Cl 0.2872 0.8767 0.4236
107 Cl 0.2502 0.5792 0.5539
108 Cl 0.5379 0.2980 0.3701
109 Cl 0.2834 0.1832 0.9260
110 Cl 0.3918 0.0068 0.6325
111 Cl 0.7872 0.1233 0.0764
112 Cl 0.4309 0.3066 0.5025
113 Cl 0.8212 0.1141 0.4446
114 Cl 0.8194 0.8244 0.2086
115 Cl 0.7834 0.8168 0.5740
116 Cl 0.9309 0.6934 0.9975
117 Cl 0.0379 0.7020 0.1299
118 Cl 0.9621 0.2980 0.8701
119 Cl 0.8894 0.8073 0.4415
120 Cl 0.1106 0.1927 0.5585
121 O 0.6132 0.2455 0.1931
122 O 0.3868 0.7545 0.8069
123 O 0.1132 0.7545 0.3069
124 O 0.8868 0.2455 0.6931
125 O 0.1496 0.6698 0.7584
126 O 0.8504 0.3302 0.2416
127 O 0.3504 0.6698 0.2584
128 O 0.6496 0.3302 0.7416